Compound: Mn3N2
Source: Materials Project
Functional: PBE
Structure: optimized geometry

For the energy relative to the lowest polymorph listed for this composition, the calculation gives 100.1 meV/atom. Its magnetic moment is 0.42 μB/atom. The value obtained for the total DFT energy (no corrections) is -89.3 eV/cell.

It has space group C2/m (No. 12), with a = 5.273 Å, b = 3.060 Å, c = 5.882 Å, α = 90.00°, β = 90.30° and γ = 90.00°. The distinct sites, in fractional coordinates, are Mn at (0.000, 0.000, 0.000), Mn at (0.165, 0.500, 0.335) and N at (0.170, 0.500, 0.758).


Compound: MnN
Source: Materials Project
Functional: PBE
Structure: optimized geometry

Its magnetic moment is 0.73 μB/atom. The value obtained for the total DFT energy (no corrections) is -35.8 eV/cell.

It has space group P6_3mc (No. 186), with a = 2.9508 Å, b = 2.9508 Å, c = 5.2792 Å, α = 90.00°, β = 90.00° and γ = 120.00°. The distinct sites, in fractional coordinates, are Mn at (0.3333, 0.6667, 0.0000) and N at (0.3333, 0.6667, 0.6465).


Compound: MnN
Source: Materials Project
Functional: PBE
Structure: optimized geometry

The value obtained for the total DFT energy (no corrections) is -72.4 eV/cell.

It has space group F-43m (No. 216), with a = 4.260 Å, b = 4.260 Å, c = 4.260 Å, α = 90.00°, β = 90.00° and γ = 90.00°. The distinct sites, in fractional coordinates, are Mn at (0.000, 0.000, 0.000) and N at (0.250, 0.250, 0.750).


Compound: Mn3N2
Source: Materials Project
Functional: PBE
Structure: optimized geometry

For the energy relative to the lowest polymorph listed for this composition, the calculation gives 0.0 meV/atom. Its magnetic moment is 1.67 μB/atom. The value obtained for the total DFT energy (no corrections) is -90.3 eV/cell.

It has space group I4/mmm (No. 139), with a = 2.863 Å, b = 2.863 Å, c = 12.051 Å, α = 90.00°, β = 90.00° and γ = 90.00°. The distinct sites, in fractional coordinates, are Mn at (0.000, 0.000, 0.000), Mn at (0.000, 0.000, 0.331) and N at (0.000, 0.000, 0.160).


Compound: MnN
Source: Materials Project
Functional: PBE
Structure: optimized geometry

Its magnetic moment is 1.47 μB/atom. The value obtained for the total DFT energy (no corrections) is -71.7 eV/cell.

It has space group Fm-3m (No. 225), with a = 4.137 Å, b = 4.137 Å, c = 4.137 Å, α = 90.00°, β = 90.00° and γ = 90.00°. The distinct sites, in fractional coordinates, are Mn at (0.000, 0.000, 0.000) and N at (0.000, 0.000, 0.500).


Compound: Na3MnN2
Source: Materials Project
Functional: PBE
Structure: optimized geometry

Its magnetic moment is 0.67 μB/atom. The value obtained for the total DFT energy (no corrections) is -463.2 eV/cell.

It has space group Ia-3 (No. 206), with a = 10.972 Å, b = 10.972 Å, c = 10.972 Å, α = 90.00°, β = 90.00° and γ = 90.00°. The distinct sites, in fractional coordinates, are Na at (0.090, 0.157, 0.891), Mn at (0.145, 0.145, 0.145), N at (0.000, 0.250, 0.073) and N at (0.250, 0.250, 0.250).


Number 1: energy of formation -0.238 eV/atom. Number 2: energy of formation -0.389 eV/atom. Number 3: energy of formation -0.478 eV/atom. Number 4: energy of formation -0.338 eV/atom. Number 5: energy of formation -0.388 eV/atom. Number 6: energy of formation 0.022 eV/atom.